No. 1
DFT (r²SCAN) results for a relaxed structure of Y2C.

Cell and atoms, written as POSCAR:
```
Y2C
1.0
3.508 0.023 5.430
1.619 3.112 5.430
0.038 0.023 6.464
Y C
2 1
direct
0.260 0.260 0.260
0.740 0.740 0.740
0.000 0.000 0.000
```

Output
space-group type = R-3m

---

No. 2
DFT (r²SCAN) results for a relaxed structure of Ho4InNi2Ge4.

Cell and atoms, written as POSCAR:
```
Ho4InNi2Ge4
1.0
2.100 7.683 -0.002
-2.100 7.683 -0.002
0.000 2.237 6.615
Ge Ho In Ni
4 4 1 2
direct
0.205 0.205 0.727
0.795 0.795 0.273
0.065 0.065 0.338
0.935 0.935 0.662
0.655 0.655 0.062
0.407 0.407 0.392
0.345 0.345 0.938
0.593 0.593 0.608
0.000 0.000 0.000
0.784 0.784 0.646
0.216 0.216 0.354
```

Output
space-group type = C2/m

---

No. 3
DFT (r²SCAN) results for a relaxed structure of KGaI4.

Cell and atoms, written as POSCAR:
```
KGaI4
1.0
-6.929 0.965 3.958
-4.117 0.094 -7.230
-2.551 -16.088 -0.541
I K Ga
16 4 4
direct
0.739 0.579 0.032
0.891 0.582 0.278
0.645 0.140 0.410
0.609 0.582 0.778
0.761 0.579 0.532
0.355 0.860 0.590
0.391 0.418 0.222
0.145 0.860 0.090
0.261 0.421 0.968
0.239 0.421 0.468
0.848 0.985 0.660
0.152 0.015 0.340
0.652 0.985 0.160
0.855 0.140 0.910
0.109 0.418 0.722
0.348 0.015 0.840
0.001 0.742 0.860
0.501 0.258 0.640
0.999 0.258 0.140
0.499 0.742 0.360
0.642 0.756 0.639
0.858 0.756 0.139
0.142 0.244 0.861
0.358 0.244 0.361
```

Output
space-group type = P2_1/c

---

Ordered V results: 23.14; 19.41; 45.21; unit Å³ per atom.
Ordered formation energy from the elements results: -423; -858; -1006; unit meV per atom.